1.
A relaxed CrP2O7 crystal. Source: Materials Project, functional PBE+U.

Output
Crystal system   monoclinic
Energy of formation from the pure elements   -228.2 kJ per mole of atoms
ρ   3.17 g/cm³
Spin magnetization   2.0 μB per formula unit

a = 7.052 Å, b = 8.197 Å, c = 9.030 Å
α = 90.00°, β = 114.72°, γ = 90.00°
Space group P2_1/c (No. 14)
Inequivalent atoms, fractional coordinates:
Cr1 0.235 0.086 0.113 [4 per cell]
P1 0.069 0.730 0.747 [4 per cell]
P2 0.463 0.740 0.039 [4 per cell]
O1 0.015 0.583 0.623 [4 per cell]
O2 0.099 0.248 0.189 [4 per cell]
O3 0.116 0.615 0.180 [4 per cell]
O4 0.266 0.656 0.895 [4 per cell]
O5 0.372 0.234 0.028 [4 per cell]
O6 0.391 0.600 0.583 [4 per cell]
O7 0.468 0.109 0.330 [4 per cell]

=====

2.
A relaxed CrP3O9 crystal. Source: Materials Project, functional PBE+U.

Output
Crystal system   triclinic
Energy of formation from the pure elements   -243.9 kJ per mole of atoms
ρ   2.78 g/cm³
Spin magnetization   3.0 μB per formula unit

a = 9.366 Å, b = 9.384 Å, c = 9.621 Å
α = 104.13°, β = 109.97°, γ = 108.82°
Space group P-1 (No. 2)
Inequivalent atoms, fractional coordinates:
Cr1 0.199 0.400 0.291 [2 per cell]
Cr2 0.274 0.751 0.228 [2 per cell]
P1 0.063 0.198 0.907 [2 per cell]
P2 0.111 0.503 0.852 [2 per cell]
P3 0.165 0.928 0.805 [2 per cell]
P4 0.297 0.565 0.668 [2 per cell]
P5 0.345 0.987 0.599 [2 per cell]
P6 0.403 0.313 0.576 [2 per cell]
O1 0.012 0.765 0.740 [2 per cell]
O2 0.076 0.533 0.186 [2 per cell]
O3 0.086 0.062 0.797 [2 per cell]
O4 0.124 0.851 0.150 [2 per cell]
O5 0.128 0.512 0.698 [2 per cell]
O6 0.137 0.345 0.855 [2 per cell]
O7 0.172 0.252 0.084 [2 per cell]
O8 0.199 0.914 0.645 [2 per cell]
O9 0.224 0.540 0.492 [2 per cell]
O10 0.241 0.648 0.005 [2 per cell]
O11 0.304 0.128 0.547 [2 per cell]
O12 0.312 0.856 0.451 [2 per cell]
O13 0.318 0.986 0.954 [2 per cell]
O14 0.332 0.403 0.676 [2 per cell]
O15 0.358 0.328 0.416 [2 per cell]
O16 0.405 0.621 0.316 [2 per cell]
O17 0.437 0.719 0.794 [2 per cell]
O18 0.480 0.930 0.261 [2 per cell]